(1)
A plane-wave DFT calculation with r2SCAN was carried out for crystalline Na2MgH32S2O24 at its relaxed geometry.

Properties
ΔE_f = -122.2 kJ per mole of atoms

Structure (CIF):
```
data_Na2MgH32S2O24
_cell_length_a 6.4840
_cell_length_b 6.5281
_cell_length_c 14.3545
_cell_angle_alpha 87.43
_cell_angle_beta 100.41
_cell_angle_gamma 114.01
_space_group_name_H-M_alt 'P 1'
_space_group_IT_number 1
_space_group_name_Hall 'P 1'
loop_
_atom_site_label
_atom_site_type_symbol
_atom_site_fract_x
_atom_site_fract_y
_atom_site_fract_z
H1 H 0.2049 0.2387 0.1298
H2 H 0.5535 0.4268 0.3498
H3 H 0.2103 0.5710 0.6671
H4 H 0.7897 0.4290 0.3329
H5 H 0.4312 0.4348 0.8583
H6 H 0.5688 0.5652 0.1417
H7 H 0.7104 0.3324 0.9395
H8 H 0.5969 0.9931 0.2276
H9 H 0.7950 0.5935 0.5725
H10 H 0.8106 0.5484 0.4681
H11 H 0.9217 0.9687 0.3072
H12 H 0.0783 0.0313 0.6928
H13 H 0.3243 0.6268 0.9600
H14 H 0.3502 0.8933 0.5824
H15 H 0.4465 0.5732 0.6502
H16 H 0.8509 0.0685 0.6661
H17 H 0.7951 0.7613 0.8702
H18 H 0.6498 0.1067 0.4176
H19 H 0.2896 0.6676 0.0605
H20 H 0.1894 0.4516 0.5319
H21 H 0.7970 0.9981 0.8503
H22 H 0.4031 0.0069 0.7724
H23 H 0.1491 0.9315 0.3339
H24 H 0.5584 0.8411 0.4133
H25 H 0.2050 0.4065 0.4275
H26 H 0.2030 0.0019 0.1497
H27 H 0.1833 0.4259 0.8335
H28 H 0.6757 0.3732 0.0400
H29 H 0.4416 0.1589 0.5867
H30 H 0.1705 0.8000 0.7763
H31 H 0.8295 0.2000 0.2237
H32 H 0.8167 0.5741 0.1665
O1 O 0.7017 0.4760 0.8266
O2 O 0.6766 0.9776 0.4452
O3 O 0.2499 0.9626 0.7876
O4 O 0.2963 0.4117 0.8858
O5 O 0.6993 0.1482 0.7532
O6 O 0.0098 0.5097 0.7466
O7 O 0.6314 0.4322 0.6561
O8 O 0.9693 0.0495 0.6391
O9 O 0.3336 0.7450 0.0030
O10 O 0.3234 0.0224 0.5548
O11 O 0.7037 0.5883 0.1142
O12 O 0.8404 0.9084 0.8999
O13 O 0.6696 0.3669 0.3714
O14 O 0.1596 0.0916 0.1001
O15 O 0.2983 0.5240 0.1734
O16 O 0.6664 0.2550 0.9970
O17 O 0.3304 0.6331 0.6286
O18 O 0.3686 0.5678 0.3439
O19 O 0.7501 0.0374 0.2124
O20 O 0.3007 0.8518 0.2468
O21 O 0.8748 0.6620 0.5202
O22 O 0.9902 0.4903 0.2534
O23 O 0.0307 0.9505 0.3609
O24 O 0.1252 0.3380 0.4798
Mg1 Mg 0.0000 0.0000 0.5000
Na1 Na 0.7501 0.9483 0.0496
Na2 Na 0.2499 0.0517 0.9504
S1 S 0.7602 0.3919 0.7456
S2 S 0.2398 0.6081 0.2544
```

---

(2)
A plane-wave DFT calculation with r2SCAN was carried out for crystalline Si3H at its relaxed geometry.

Properties
ΔE_f = 2.8 kJ per mole of atoms

Structure (CIF):
```
data_Si3H
_cell_length_a 3.8417
_cell_length_b 3.8417
_cell_length_c 11.6369
_cell_angle_alpha 90.00
_cell_angle_beta 90.00
_cell_angle_gamma 120.00
_space_group_name_H-M_alt 'P 1'
_space_group_IT_number 1
_space_group_name_Hall 'P 1'
loop_
_atom_site_label
_atom_site_type_symbol
_atom_site_fract_x
_atom_site_fract_y
_atom_site_fract_z
Si1 Si 0.3333 0.6667 0.7377
Si2 Si 0.3333 0.6667 0.5342
Si3 Si 0.6667 0.3334 0.8034
Si4 Si 0.6667 0.3333 0.4658
Si5 Si 0.3333 0.6666 0.1966
Si6 Si 0.6667 0.3333 0.2623
H1 H 0.6667 0.3333 0.9317
H2 H 0.3333 0.6667 0.0683
```

---

(3)
A plane-wave DFT calculation with r2SCAN was carried out for crystalline LaGa2Ni at its relaxed geometry.

Properties
ΔE_f = -65.2 kJ per mole of atoms

Structure (CIF):
```
data_LaGa2Ni
_cell_length_a 9.0153
_cell_length_b 9.0153
_cell_length_c 4.2433
_cell_angle_alpha 90.00
_cell_angle_beta 90.00
_cell_angle_gamma 152.83
_space_group_name_H-M_alt 'P 1'
_space_group_IT_number 1
_space_group_name_Hall 'P 1'
loop_
_atom_site_label
_atom_site_type_symbol
_atom_site_fract_x
_atom_site_fract_y
_atom_site_fract_z
Ga1 Ga 0.0000 0.0000 0.5000
Ga2 Ga 0.2904 0.7096 0.5000
Ga3 Ga 0.7096 0.2904 0.5000
Ga4 Ga 0.5000 0.5000 0.0000
La1 La 0.8586 0.1414 0.0000
La2 La 0.1414 0.8586 0.0000
Ni1 Ni 0.4292 0.5708 0.5000
Ni2 Ni 0.5708 0.4292 0.5000
```

---

(4)
A plane-wave DFT calculation with r2SCAN was carried out for crystalline Sc2O3 at its relaxed geometry.

Properties
ΔE_f = -365.6 kJ per mole of atoms

Structure (CIF):
```
data_Sc2O3
_cell_length_a 3.2014
_cell_length_b 6.8254
_cell_length_c 8.0163
_cell_angle_alpha 100.26
_cell_angle_beta 90.00
_cell_angle_gamma 103.56
_space_group_name_H-M_alt 'P 1'
_space_group_IT_number 1
_space_group_name_Hall 'P 1'
loop_
_atom_site_label
_atom_site_type_symbol
_atom_site_fract_x
_atom_site_fract_y
_atom_site_fract_z
Sc1 Sc 0.6359 0.2719 0.4863
Sc2 Sc 0.0313 0.0626 0.8159
Sc3 Sc 0.9687 0.9374 0.1841
Sc4 Sc 0.3641 0.7281 0.5137
Sc5 Sc 0.3085 0.6169 0.8634
Sc6 Sc 0.6915 0.3831 0.1366
O1 O 0.8741 0.7483 0.7204
O2 O 0.1737 0.3475 0.9651
O3 O 0.7905 0.5809 0.3784
O4 O 0.5331 0.0661 0.6583
O5 O 0.8263 0.6525 0.0349
O6 O 0.1259 0.2517 0.2796
O7 O 0.5000 0.0000 0.0000
O8 O 0.4669 0.9339 0.3417
O9 O 0.2095 0.4191 0.6216
```

---

(5)
A plane-wave DFT calculation with r2SCAN was carried out for crystalline TiF3 at its relaxed geometry.

Properties
ΔE_f = -346.1 kJ per mole of atoms

Structure (CIF):
```
data_TiF3
_cell_length_a 5.5274
_cell_length_b 5.5274
_cell_length_c 5.5274
_cell_angle_alpha 60.38
_cell_angle_beta 60.38
_cell_angle_gamma 60.38
_space_group_name_H-M_alt 'P 1'
_space_group_IT_number 1
_space_group_name_Hall 'P 1'
loop_
_atom_site_label
_atom_site_type_symbol
_atom_site_fract_x
_atom_site_fract_y
_atom_site_fract_z
F1 F 0.2468 0.2532 0.7500
F2 F 0.7468 0.2500 0.7532
F3 F 0.2532 0.7500 0.2468
F4 F 0.7532 0.7468 0.2500
F5 F 0.2500 0.7532 0.7468
F6 F 0.7500 0.2468 0.2532
Ti1 Ti 0.0000 0.0000 0.0000
Ti2 Ti 0.5000 0.5000 0.5000
```

---

(6)
A plane-wave DFT calculation with r2SCAN was carried out for crystalline Ho4MgRu at its relaxed geometry.

Properties
ΔE_f = -26.0 kJ per mole of atoms

Structure (CIF):
```
data_Ho4MgRu
_cell_length_a 9.6175
_cell_length_b 9.6175
_cell_length_c 9.6175
_cell_angle_alpha 60.00
_cell_angle_beta 60.00
_cell_angle_gamma 60.00
_space_group_name_H-M_alt 'P 1'
_space_group_IT_number 1
_space_group_name_Hall 'P 1'
loop_
_atom_site_label
_atom_site_type_symbol
_atom_site_fract_x
_atom_site_fract_y
_atom_site_fract_z
Ho1 Ho 0.1869 0.8131 0.8131
Ho2 Ho 0.9383 0.9383 0.5617
Ho3 Ho 0.3434 0.3434 0.3434
Ho4 Ho 0.1869 0.8131 0.1869
Ho5 Ho 0.1869 0.1869 0.8131
Ho6 Ho 0.8131 0.8131 0.1869
Ho7 Ho 0.8131 0.1869 0.8131
Ho8 Ho 0.3434 0.9697 0.3434
Ho9 Ho 0.5617 0.9383 0.9383
Ho10 Ho 0.3434 0.3434 0.9698
Ho11 Ho 0.9698 0.3434 0.3434
Ho12 Ho 0.5617 0.9383 0.5617
Ho13 Ho 0.9383 0.5617 0.5617
Ho14 Ho 0.9383 0.5617 0.9383
Ho15 Ho 0.5617 0.5617 0.9383
Ho16 Ho 0.8131 0.1869 0.1869
Ru1 Ru 0.5837 0.1388 0.1388
Ru2 Ru 0.1388 0.5837 0.1388
Ru3 Ru 0.1388 0.1388 0.1388
Ru4 Ru 0.1388 0.1388 0.5837
Mg1 Mg 0.5789 0.5789 0.2632
Mg2 Mg 0.2632 0.5789 0.5789
Mg3 Mg 0.5790 0.5790 0.5790
Mg4 Mg 0.5789 0.2632 0.5789
```

---

(7)
A plane-wave DFT calculation with r2SCAN was carried out for crystalline CeSi2Ir at its relaxed geometry.

Properties
ΔE_f = -97.8 kJ per mole of atoms

Structure (CIF):
```
data_CeSi2Ir
_cell_length_a 8.6499
_cell_length_b 8.6499
_cell_length_c 4.1996
_cell_angle_alpha 90.00
_cell_angle_beta 90.00
_cell_angle_gamma 151.80
_space_group_name_H-M_alt 'P 1'
_space_group_IT_number 1
_space_group_name_Hall 'P 1'
loop_
_atom_site_label
_atom_site_type_symbol
_atom_site_fract_x
_atom_site_fract_y
_atom_site_fract_z
Si1 Si 0.4632 0.5369 0.2500
Si2 Si 0.5369 0.4632 0.7500
Si3 Si 0.7499 0.2501 0.2500
Si4 Si 0.2501 0.7499 0.7500
Ir1 Ir 0.3224 0.6776 0.2500
Ir2 Ir 0.6776 0.3224 0.7500
Ce1 Ce 0.1063 0.8937 0.2500
Ce2 Ce 0.8937 0.1063 0.7500
```

---

(8)
A plane-wave DFT calculation with r2SCAN was carried out for crystalline Ge3Ir2Se3 at its relaxed geometry.

Properties
ΔE_f = -51.3 kJ per mole of atoms

Structure (CIF):
```
data_Ge3Ir2Se3
_cell_length_a 8.6137
_cell_length_b 8.6137
_cell_length_c 8.6137
_cell_angle_alpha 89.80
_cell_angle_beta 89.80
_cell_angle_gamma 89.80
_space_group_name_H-M_alt 'P 1'
_space_group_IT_number 1
_space_group_name_Hall 'P 1'
loop_
_atom_site_label
_atom_site_type_symbol
_atom_site_fract_x
_atom_site_fract_y
_atom_site_fract_z
Ir1 Ir 0.7532 0.7532 0.7532
Ir2 Ir 0.7497 0.2545 0.2484
Ir3 Ir 0.7516 0.2503 0.7455
Ir4 Ir 0.2503 0.7455 0.7516
Ir5 Ir 0.2545 0.2484 0.7497
Ir6 Ir 0.2484 0.7497 0.2545
Ir7 Ir 0.2468 0.2468 0.2468
Ir8 Ir 0.7455 0.7516 0.2503
Se1 Se 0.1421 0.0002 0.6473
Se2 Se 0.8579 0.9998 0.3527
Se3 Se 0.3527 0.8579 0.9998
Se4 Se 0.9998 0.3527 0.8579
Se5 Se 0.5029 0.8528 0.6413
Se6 Se 0.4971 0.1472 0.3587
Se7 Se 0.6413 0.5029 0.8528
Se8 Se 0.3587 0.4971 0.1472
Se9 Se 0.8528 0.6413 0.5029
Se10 Se 0.0002 0.6473 0.1421
Se11 Se 0.6473 0.1421 0.0002
Se12 Se 0.1472 0.3587 0.4971
Ge1 Ge 0.8504 0.0021 0.6684
Ge2 Ge 0.6502 0.5021 0.1682
Ge3 Ge 0.3316 0.1496 0.9979
Ge4 Ge 0.9979 0.3316 0.1496
Ge5 Ge 0.3498 0.4979 0.8318
Ge6 Ge 0.4979 0.8318 0.3498
Ge7 Ge 0.1682 0.6502 0.5021
Ge8 Ge 0.1496 0.9979 0.3316
Ge9 Ge 0.6684 0.8504 0.0021
Ge10 Ge 0.8318 0.3498 0.4979
Ge11 Ge 0.5021 0.1682 0.6502
Ge12 Ge 0.0021 0.6684 0.8504
```

---

Which of these has the lowest ΔE_f?
Sc2O3